Li9Mn2Co5O16 | PBE with a Hubbard U | relaxed

a b c (Å): 5.088 5.791 10.486
angles (deg): 74.78 76.93 74.16
Atoms (fractional coordinates):
Li: 0.498 0.816 0.120
Li: 0.499 0.321 0.118
Li: 0.506 0.435 0.375
Li: 0.497 0.939 0.377
Li: 0.501 0.060 0.629
Li: 0.499 0.558 0.629
Li: 0.500 0.679 0.875
Li: 0.500 0.193 0.875
Li: 0.002 0.495 0.000
Mn: 0.005 0.003 0.002
Mn: 0.001 0.624 0.245
Co: 0.000 0.130 0.247
Co: 0.999 0.252 0.503
Co: 0.999 0.755 0.501
Co: 0.989 0.865 0.760
Co: 0.998 0.378 0.758
O: 0.222 0.147 0.071
O: 0.223 0.672 0.070
O: 0.218 0.797 0.308
O: 0.223 0.298 0.303
O: 0.233 0.404 0.556
O: 0.227 0.905 0.565
O: 0.231 0.027 0.828
O: 0.238 0.527 0.804
O: 0.775 0.462 0.195
O: 0.783 0.961 0.184
O: 0.779 0.099 0.428
O: 0.775 0.602 0.427
O: 0.762 0.710 0.687
O: 0.772 0.215 0.686
O: 0.767 0.318 0.942
O: 0.777 0.852 0.933

Summary:
crystal system	triclinic
ΔH_f (0 K)	-1.85	eV/atom
ΔE to the lowest computed polymorph	16	meV/atom